(1)
Computed, not measured: Li2Cr3TeO8 after structural relaxation at the PBE+U level of DFT.

Geometry as CIF:
```
data_Li2Cr3TeO8
_space_group_name_H-M_alt 'P 63 m c'
_space_group_IT_number 186
_space_group_name_Hall 'P 6c -2c'
_cell_length_a 5.9918
_cell_length_b 5.9918
_cell_length_c 9.7715
_cell_angle_alpha 90.00
_cell_angle_beta 90.00
_cell_angle_gamma 120.00
loop_
_atom_site_label
_atom_site_type_symbol
_atom_site_fract_x
_atom_site_fract_y
_atom_site_fract_z
Li1 Li 0.0000 0.0000 0.0000
Li2 Li 0.3333 0.6667 0.4136
Cr1 Cr 0.1697 0.3394 0.7234
Te1 Te 0.3333 0.6667 0.9978
O1 O 0.0000 0.0000 0.3166
O2 O 0.0330 0.5165 0.8465
O3 O 0.1602 0.3204 0.1051
O4 O 0.3333 0.6667 0.6187
```

**Distance to the lowest polymorph of the same formula**: 0.0 kJ per mole of atoms


(2)
Computed, not measured: Ba4MgCoRe2O12 after structural relaxation at the PBE+U level of DFT.

Geometry as CIF:
```
data_Ba4MgCoRe2O12
_space_group_name_H-M_alt 'C 1 2/m 1'
_space_group_IT_number 12
_cell_length_a 10.136
_cell_length_b 5.854
_cell_length_c 10.264
_cell_angle_alpha 90.00
_cell_angle_beta 109.27
_cell_angle_gamma 90.00
loop_
_space_group_symop_operation_xyz
'x,y,z'
'-x,-y,-z'
'-x,y,-z'
'x,-y,z'
'x+1/2,y+1/2,z'
'-x+1/2,-y+1/2,-z'
'-x+1/2,y+1/2,-z'
'x+1/2,-y+1/2,z'
loop_
_atom_site_label
_atom_site_type_symbol
_atom_site_fract_x
_atom_site_fract_y
_atom_site_fract_z
Ba1 Ba 0.130 0.000 0.389
Ba2 Ba 0.213 0.500 0.141
Mg1 Mg 0.000 0.500 0.500
Co1 Co 0.000 0.000 0.000
Re1 Re 0.091 0.500 0.772
O1 O 0.045 0.261 0.875
O2 O 0.105 0.500 0.358
O3 O 0.124 0.272 0.642
O4 O 0.215 0.000 0.124
```


(3)
Computed, not measured: FeAgSe2O6 after structural relaxation at the PBE+U level of DFT.

Geometry as CIF:
```
data_FeAgSe2O6
_space_group_name_H-M_alt 'P n a 21'
_space_group_IT_number 33
_cell_length_a 14.164
_cell_length_b 5.368
_cell_length_c 7.771
_cell_angle_alpha 90.00
_cell_angle_beta 90.00
_cell_angle_gamma 90.00
loop_
_space_group_symop_operation_xyz
'x,y,z'
'-x,-y,z+1/2'
'-x+1/2,y+1/2,z+1/2'
'x+1/2,-y+1/2,z'
loop_
_atom_site_label
_atom_site_type_symbol
_atom_site_fract_x
_atom_site_fract_y
_atom_site_fract_z
Fe1 Fe 0.126 0.210 0.000
Ag1 Ag 0.121 0.868 0.489
Se1 Se 0.027 0.698 0.818
Se2 Se 0.222 0.729 0.179
O1 O 0.012 0.422 0.933
O2 O 0.037 0.912 0.986
O3 O 0.088 0.244 0.255
O4 O 0.164 0.169 0.745
O5 O 0.214 0.512 0.010
O6 O 0.239 0.003 0.068
```


(4)
Computed, not measured: Li6V3P8O29 after structural relaxation at the PBE+U level of DFT.

Geometry as CIF:
```
data_Li6V3P8O29
_space_group_name_H-M_alt 'C 1 c 1'
_space_group_IT_number 9
_cell_length_a 17.105
_cell_length_b 9.832
_cell_length_c 13.929
_cell_angle_alpha 90.00
_cell_angle_beta 90.28
_cell_angle_gamma 90.00
loop_
_space_group_symop_operation_xyz
'x,y,z'
'x,-y,z+1/2'
'x+1/2,y+1/2,z'
'x+1/2,-y+1/2,z+1/2'
loop_
_atom_site_label
_atom_site_type_symbol
_atom_site_fract_x
_atom_site_fract_y
_atom_site_fract_z
Li1 Li 0.000 0.000 0.000
Li2 Li 0.005 0.435 0.443
Li3 Li 0.053 0.297 0.824
Li4 Li 0.120 0.226 0.320
Li5 Li 0.278 0.291 0.443
Li6 Li 0.321 0.430 0.822
V1 V 0.167 0.069 0.131
V2 V 0.380 0.282 0.636
V3 V 0.447 0.215 0.132
P1 P 0.006 0.428 0.225
P2 P 0.049 0.293 0.042
P3 P 0.121 0.225 0.539
P4 P 0.207 0.225 0.725
P5 P 0.282 0.297 0.224
P6 P 0.325 0.431 0.040
P7 P 0.331 0.000 0.009
P8 P 0.498 0.500 0.257
O1 O 0.039 0.293 0.539
O2 O 0.044 0.375 0.315
O3 O 0.044 0.378 0.953
O4 O 0.059 0.393 0.133
O5 O 0.072 0.078 0.219
O6 O 0.109 0.071 0.556
O7 O 0.122 0.200 0.047
O8 O 0.161 0.265 0.810
O9 O 0.166 0.257 0.449
O10 O 0.167 0.288 0.628
O11 O 0.207 0.209 0.223
O12 O 0.210 0.070 0.706
O13 O 0.261 0.076 0.055
O14 O 0.272 0.396 0.132
O15 O 0.287 0.380 0.314
O16 O 0.288 0.387 0.949
O17 O 0.290 0.287 0.724
O18 O 0.330 0.149 0.550
O19 O 0.334 0.411 0.546
O20 O 0.336 0.000 0.403
O21 O 0.356 0.211 0.208
O22 O 0.408 0.370 0.058
O23 O 0.409 0.076 0.052
O24 O 0.421 0.430 0.719
O25 O 0.427 0.144 0.706
O26 O 0.477 0.299 0.557
O27 O 0.497 0.083 0.225
O28 O 0.498 0.496 0.365
O29 O 0.499 0.349 0.215
```

**Distance to the lowest polymorph of the same formula**: 0.3 kJ per mole of atoms


(5)
Computed, not measured: Ba7Ca2Mn3V2O20 after structural relaxation at the PBE+U level of DFT.

Geometry as CIF:
```
data_Ba7Ca2Mn3V2O20
_space_group_name_H-M_alt 'R -3 m'
_space_group_IT_number 166
_space_group_name_Hall '-R 3 2"'
_cell_length_a 5.9139
_cell_length_b 5.9139
_cell_length_c 52.1118
_cell_angle_alpha 90.00
_cell_angle_beta 90.00
_cell_angle_gamma 120.00
loop_
_atom_site_label
_atom_site_type_symbol
_atom_site_fract_x
_atom_site_fract_y
_atom_site_fract_z
Ba1 Ba 0.0000 0.0000 0.0000
Ba2 Ba 0.0000 0.0000 0.1459
Ba3 Ba 0.0000 0.0000 0.2261
Ba4 Ba 0.0000 0.0000 0.3883
Ca1 Ca 0.0000 0.0000 0.0746
Mn1 Mn 0.0000 0.0000 0.4506
Mn2 Mn 0.0000 0.0000 0.5000
V1 V 0.0000 0.0000 0.3029
O1 O 0.0000 0.0000 0.3356
O2 O 0.0142 0.5071 0.3754
O3 O 0.0276 0.5138 0.2357
O4 O 0.0416 0.5208 0.1434
```


(6)
Computed, not measured: Li2Fe3WO8 after structural relaxation at the PBE+U level of DFT.

Geometry as CIF:
```
data_Li2Fe3WO8
_space_group_name_H-M_alt 'R -3 m'
_space_group_IT_number 166
_space_group_name_Hall '-R 3 2"'
_cell_length_a 6.0615
_cell_length_b 6.0615
_cell_length_c 15.0954
_cell_angle_alpha 90.00
_cell_angle_beta 90.00
_cell_angle_gamma 120.00
loop_
_atom_site_label
_atom_site_type_symbol
_atom_site_fract_x
_atom_site_fract_y
_atom_site_fract_z
Li1 Li 0.0000 0.0000 0.1325
Fe1 Fe 0.0000 0.5000 0.0000
W1 W 0.0000 0.0000 0.5000
O1 O 0.0000 0.0000 0.2676
O2 O 0.0333 0.5166 0.2461
```

**Distance to the lowest polymorph of the same formula**: 5.2 kJ per mole of atoms


(7)
Computed, not measured: Nd2NiPtO6 after structural relaxation at the PBE+U level of DFT.

Geometry as CIF:
```
data_Nd2NiPtO6
_space_group_name_H-M_alt 'P 1 21/c 1'
_space_group_IT_number 14
_cell_length_a 5.480
_cell_length_b 5.800
_cell_length_c 9.578
_cell_angle_alpha 90.00
_cell_angle_beta 124.85
_cell_angle_gamma 90.00
loop_
_space_group_symop_operation_xyz
'x,y,z'
'-x,-y,-z'
'-x,y+1/2,-z+1/2'
'x,-y+1/2,z+1/2'
loop_
_atom_site_label
_atom_site_type_symbol
_atom_site_fract_x
_atom_site_fract_y
_atom_site_fract_z
Nd1 Nd 0.232 0.068 0.251
Ni1 Ni 0.500 0.000 0.000
Pt1 Pt 0.000 0.000 0.500
O1 O 0.138 0.203 0.946
O2 O 0.251 0.698 0.948
O3 O 0.354 0.033 0.749
```


(8)
Computed, not measured: Li8Mn3Fe5B8O24 after structural relaxation at the PBE+U level of DFT.

Geometry as CIF:
```
data_Li8Mn3Fe5B8O24
_space_group_name_H-M_alt 'P 1'
_space_group_IT_number 1
_cell_length_a 5.236
_cell_length_b 6.034
_cell_length_c 16.163
_cell_angle_alpha 81.85
_cell_angle_beta 89.22
_cell_angle_gamma 88.97
loop_
_space_group_symop_operation_xyz
'x,y,z'
loop_
_atom_site_label
_atom_site_type_symbol
_atom_site_fract_x
_atom_site_fract_y
_atom_site_fract_z
Li1 Li 0.000 0.000 0.000
Li2 Li 0.000 0.497 0.501
Li3 Li 0.306 0.872 0.221
Li4 Li 0.307 0.374 0.719
Li5 Li 0.499 0.250 0.251
Li6 Li 0.501 0.753 0.749
Li7 Li 0.806 0.120 0.472
Li8 Li 0.806 0.620 0.971
Mn1 Mn 0.323 0.460 0.902
Mn2 Mn 0.323 0.956 0.402
Mn3 Mn 0.822 0.709 0.152
Fe1 Fe 0.489 0.158 0.071
Fe2 Fe 0.492 0.656 0.571
Fe3 Fe 0.826 0.207 0.654
Fe4 Fe 0.983 0.908 0.823
Fe5 Fe 0.990 0.408 0.321
B1 B 0.325 0.148 0.565
B2 B 0.325 0.650 0.064
B3 B 0.479 0.973 0.907
B4 B 0.482 0.471 0.408
B5 B 0.822 0.401 0.813
B6 B 0.825 0.900 0.314
B7 B 0.981 0.223 0.158
B8 B 0.982 0.725 0.657
O1 O 0.065 0.173 0.553
O2 O 0.065 0.674 0.050
O3 O 0.240 0.199 0.169
O4 O 0.242 0.698 0.669
O5 O 0.335 0.601 0.457
O6 O 0.336 0.103 0.957
O7 O 0.357 0.862 0.849
O8 O 0.360 0.361 0.350
O9 O 0.441 0.768 0.121
O10 O 0.451 0.265 0.620
O11 O 0.471 0.013 0.518
O12 O 0.475 0.515 0.018
O13 O 0.563 0.425 0.800
O14 O 0.565 0.923 0.300
O15 O 0.741 0.948 0.918
O16 O 0.742 0.447 0.420
O17 O 0.834 0.353 0.207
O18 O 0.837 0.856 0.706
O19 O 0.859 0.112 0.100
O20 O 0.860 0.613 0.600
O21 O 0.941 0.016 0.371
O22 O 0.942 0.514 0.871
O23 O 0.970 0.267 0.765
O24 O 0.975 0.765 0.268
```

**Distance to the lowest polymorph of the same formula**: 0.2 kJ per mole of atoms


(9)
Computed, not measured: Li9Mn2Co5O16 after structural relaxation at the PBE+U level of DFT.

Geometry as CIF:
```
data_Li9Mn2Co5O16
_space_group_name_H-M_alt 'C 1 m 1'
_space_group_IT_number 8
_cell_length_a 5.213
_cell_length_b 2.881
_cell_length_c 39.449
_cell_angle_alpha 90.00
_cell_angle_beta 90.84
_cell_angle_gamma 90.00
loop_
_space_group_symop_operation_xyz
'x,y,z'
'x,-y,z'
'x+1/2,y+1/2,z'
'x+1/2,-y+1/2,z'
loop_
_atom_site_label
_atom_site_type_symbol
_atom_site_fract_x
_atom_site_fract_y
_atom_site_fract_z
Li1 Li 0.000 0.000 0.000
Li2 Li 0.002 0.500 0.502
Li3 Li 0.114 0.000 0.371
Li4 Li 0.124 0.500 0.875
Li5 Li 0.253 0.000 0.751
Li6 Li 0.256 0.500 0.250
Li7 Li 0.372 0.500 0.623
Li8 Li 0.376 0.000 0.125
Li9 Li 0.439 0.000 0.312
Mn1 Mn 0.063 0.500 0.687
Mn2 Mn 0.310 0.500 0.437
Co1 Co 0.063 0.000 0.186
Co2 Co 0.187 0.000 0.562
Co3 Co 0.188 0.500 0.062
Co4 Co 0.311 0.000 0.937
Co5 Co 0.437 0.500 0.812
O1 O 0.026 0.500 0.590
O2 O 0.050 0.000 0.089
O3 O 0.094 0.000 0.280
O4 O 0.096 0.500 0.783
O5 O 0.155 0.500 0.966
O6 O 0.172 0.000 0.466
O7 O 0.194 0.000 0.658
O8 O 0.220 0.500 0.157
O9 O 0.277 0.000 0.841
O10 O 0.280 0.500 0.344
O11 O 0.323 0.000 0.034
O12 O 0.347 0.500 0.533
O13 O 0.403 0.000 0.213
O14 O 0.431 0.500 0.716
O15 O 0.452 0.000 0.410
O16 O 0.467 0.500 0.909
```

**Distance to the lowest polymorph of the same formula**: 8.1 kJ per mole of atoms


(10)
Computed, not measured: SrFe2P2O8 after structural relaxation at the PBE+U level of DFT.

Geometry as CIF:
```
data_SrFe2P2O8
_space_group_name_H-M_alt 'P 1 21/c 1'
_space_group_IT_number 14
_cell_length_a 9.532
_cell_length_b 6.960
_cell_length_c 10.696
_cell_angle_alpha 90.00
_cell_angle_beta 109.79
_cell_angle_gamma 90.00
loop_
_space_group_symop_operation_xyz
'x,y,z'
'-x,-y,-z'
'-x,y+1/2,-z+1/2'
'x,-y+1/2,z+1/2'
loop_
_atom_site_label
_atom_site_type_symbol
_atom_site_fract_x
_atom_site_fract_y
_atom_site_fract_z
Sr1 Sr 0.195 0.120 0.482
Fe1 Fe 0.212 0.607 0.667
Fe2 Fe 0.421 0.652 0.382
P1 P 0.078 0.645 0.380
P2 P 0.465 0.174 0.327
O1 O 0.051 0.686 0.964
O2 O 0.068 0.080 0.226
O3 O 0.155 0.017 0.981
O4 O 0.193 0.697 0.310
O5 O 0.365 0.653 0.145
O6 O 0.389 0.508 0.859
O7 O 0.393 0.213 0.176
O8 O 0.438 0.156 0.914
```


Number 1: E_form -2.171 eV per atom, calculated total energy -6.74 eV/atom. Number 2: E_form -2.586 eV per atom, calculated total energy -7.12 eV/atom. Number 3: E_form -1.249 eV per atom, calculated total energy -5.41 eV/atom. Number 4: E_form -2.660 eV per atom, calculated total energy -7.02 eV/atom. Number 5: E_form -2.830 eV per atom, calculated total energy -6.94 eV/atom. Number 6: E_form -1.913 eV per atom, calculated total energy -6.56 eV/atom. Number 7: E_form -2.487 eV per atom, calculated total energy -6.93 eV/atom. Number 8: E_form -2.395 eV per atom, calculated total energy -7.07 eV/atom. Number 9: E_form -1.780 eV per atom, calculated total energy -5.77 eV/atom. Number 10: E_form -2.646 eV per atom, calculated total energy -7.19 eV/atom.